# HgCN2

An optimized crystal structure of HgCN2 (PBE, the Materials Project database).

## Properties
The calculation puts the total energy at -6.092 eV per atom. For the corrected total energy (MP2020 scheme), the calculation gives -200.7 eV per cell. The total magnetic moment is 0.00 μB/f.u. For the volume, the calculation gives 16.75 A^3/atom. The value obtained for the energy relative to the elements is 1.11 eV/f.u.

Unit cell a=6.922 b=7.270 c=10.655 alpha=90.00 beta=90.00 gamma=90.00
Element x y z (fractional)
Hg 0.156 0.206 0.127
Hg 0.156 0.294 0.627
Hg 0.344 0.706 0.127
Hg 0.344 0.794 0.627
Hg 0.656 0.206 0.373
Hg 0.656 0.294 0.873
Hg 0.844 0.706 0.373
Hg 0.844 0.794 0.873
C 0.166 0.104 0.385
C 0.166 0.396 0.885
C 0.334 0.604 0.385
C 0.334 0.896 0.885
C 0.666 0.104 0.115
C 0.666 0.396 0.615
C 0.834 0.604 0.115
C 0.834 0.896 0.615
N 0.080 0.061 0.288
N 0.080 0.439 0.788
N 0.243 0.627 0.483
N 0.243 0.873 0.983
N 0.257 0.127 0.483
N 0.257 0.373 0.983
N 0.420 0.561 0.288
N 0.420 0.939 0.788
N 0.580 0.061 0.212
N 0.580 0.439 0.712
N 0.743 0.627 0.017
N 0.743 0.873 0.517
N 0.757 0.127 0.017
N 0.757 0.373 0.517
N 0.920 0.561 0.212
N 0.920 0.939 0.712